Entry from Materials Project: HgC2O4 after structural relaxation (PBE).

Structure (extended XYZ):
```
14
Lattice="4.804 0.000 -1.728 0.000 5.289 0.000 0.052 0.000 7.018" Properties=species:S:1:pos:R:3 pbc="T T T"
O 1.488 4.778 1.739
O 3.368 2.134 3.551
O 4.344 5.106 2.566
O 1.550 0.299 5.233
O 3.305 2.943 0.057
O 0.574 2.618 6.212
O 0.511 2.462 2.724
O 4.281 5.263 -0.923
C 0.243 4.541 1.459
C 4.613 1.897 3.830
C 0.307 0.536 4.953
C 4.548 3.180 0.336
Hg 2.466 3.870 4.381
Hg 2.389 1.225 0.908
```

Computed properties:
ΔE_f: -1266 meV/atom
SG: P2_1 (4)
Calculated density: 5.4 g/cm3
Total DFT energy (no corrections): -6.38 eV/atom